Entry 1:
The following is a GGA+U calculation of a relaxed structure of LiNiO2, from Materials Project.

Cell and atoms, written as CIF:
```
data_LiNiO2
_chemical_formula_sum 'Li5 Ni5 O10'
_cell_length_a 5.0440
_cell_length_b 5.0622
_cell_length_c 7.5507
_cell_angle_alpha 107.23
_cell_angle_beta 104.00
_cell_angle_gamma 100.03
_symmetry_space_group_name_H-M 'P 1'
_symmetry_Int_Tables_number 1
_symmetry_space_group_name_Hall 'P 1'
loop_
_atom_site_label
_atom_site_fract_x
_atom_site_fract_y
_atom_site_fract_z
Li1 0.2051 0.9114 0.4092
Li2 0.3892 0.2825 0.7827
Li3 0.5000 0.5000 0.5000
Li4 0.6108 0.7175 0.2173
Li5 0.7949 0.0886 0.5908
Ni1 0.1001 0.6959 0.6964
Ni2 0.0000 0.5000 0.0000
Ni3 0.6989 0.8952 0.8985
Ni4 0.3011 0.1048 0.1015
Ni5 0.8999 0.3041 0.3036
O1 0.0584 0.1073 0.8620
O2 0.3270 0.7154 0.9487
O3 0.1304 0.3052 0.5398
O4 0.2265 0.4759 0.2304
O5 0.4428 0.8866 0.6635
O6 0.5572 0.1134 0.3365
O7 0.7735 0.5241 0.7696
O8 0.8696 0.6948 0.4602
O9 0.6730 0.2846 0.0513
O10 0.9416 0.8927 0.1380
```

ρ   4.71 g cm⁻³
E_form   -5.87 eV/f.u.
E   -4.89 eV per atom



Entry 2:
The following is a GGA+U calculation of a relaxed structure of Li5NiO4, from Materials Project.

Cell and atoms, written as CIF:
```
data_Li5NiO4
_chemical_formula_sum 'Li40 Ni8 O32'
_cell_length_a 5.1580
_cell_length_b 9.4217
_cell_length_c 15.6875
_cell_angle_alpha 90.00
_cell_angle_beta 90.00
_cell_angle_gamma 90.00
_symmetry_space_group_name_H-M 'P 1'
_symmetry_Int_Tables_number 1
_symmetry_space_group_name_Hall 'P 1'
loop_
_atom_site_label
_atom_site_fract_x
_atom_site_fract_y
_atom_site_fract_z
Li1 0.9181 0.9311 0.4339
Li2 0.5819 0.9311 0.9339
Li3 0.0967 0.9216 0.2527
Li4 0.4033 0.9216 0.7527
Li5 0.0934 0.8291 0.0026
Li6 0.4066 0.8291 0.5026
Li7 0.5962 0.8234 0.3292
Li8 0.9038 0.8234 0.8292
Li9 0.4292 0.8046 0.1429
Li10 0.0708 0.8046 0.6429
Li11 0.9292 0.6954 0.1429
Li12 0.5708 0.6954 0.6429
Li13 0.4038 0.6766 0.8292
Li14 0.0962 0.6766 0.3292
Li15 0.5934 0.6709 0.0026
Li16 0.9066 0.6709 0.5026
Li17 0.5967 0.5784 0.2527
Li18 0.9033 0.5784 0.7527
Li19 0.0819 0.5689 0.9339
Li20 0.4181 0.5689 0.4339
Li21 0.9181 0.4311 0.0661
Li22 0.5819 0.4311 0.5661
Li23 0.0967 0.4216 0.2473
Li24 0.4033 0.4216 0.7473
Li25 0.4066 0.3291 0.9974
Li26 0.0934 0.3291 0.4974
Li27 0.5962 0.3234 0.1708
Li28 0.9038 0.3234 0.6708
Li29 0.4292 0.3046 0.3571
Li30 0.0708 0.3046 0.8571
Li31 0.9292 0.1954 0.3571
Li32 0.5708 0.1954 0.8571
Li33 0.4038 0.1766 0.6708
Li34 0.0962 0.1766 0.1708
Li35 0.9066 0.1709 0.9974
Li36 0.5934 0.1709 0.4974
Li37 0.9033 0.0784 0.7473
Li38 0.5967 0.0784 0.2473
Li39 0.0819 0.0689 0.5661
Li40 0.4181 0.0689 0.0661
Ni1 0.8297 0.9604 0.1214
Ni2 0.6703 0.9604 0.6214
Ni3 0.3297 0.5396 0.1214
Ni4 0.1703 0.5396 0.6214
Ni5 0.8297 0.4604 0.3786
Ni6 0.6703 0.4604 0.8786
Ni7 0.3297 0.0396 0.3786
Ni8 0.1703 0.0396 0.8786
O1 0.1830 0.9527 0.1238
O2 0.3170 0.9527 0.6238
O3 0.7276 0.8640 0.2192
O4 0.7724 0.8640 0.7192
O5 0.6902 0.8543 0.0362
O6 0.8098 0.8543 0.5362
O7 0.2722 0.8517 0.8751
O8 0.2278 0.8517 0.3751
O9 0.7722 0.6483 0.8751
O10 0.7278 0.6483 0.3751
O11 0.1902 0.6457 0.0362
O12 0.3098 0.6457 0.5362
O13 0.2276 0.6360 0.2192
O14 0.2724 0.6360 0.7192
O15 0.6830 0.5473 0.1238
O16 0.8170 0.5473 0.6238
O17 0.3170 0.4527 0.8762
O18 0.1830 0.4527 0.3762
O19 0.7276 0.3640 0.2808
O20 0.7724 0.3640 0.7808
O21 0.8098 0.3543 0.9638
O22 0.6902 0.3543 0.4638
O23 0.2278 0.3517 0.1249
O24 0.2722 0.3517 0.6249
O25 0.7722 0.1483 0.6249
O26 0.7278 0.1483 0.1249
O27 0.1902 0.1457 0.4638
O28 0.3098 0.1457 0.9638
O29 0.2724 0.1360 0.7808
O30 0.2276 0.1360 0.2808
O31 0.6830 0.0473 0.3762
O32 0.8170 0.0473 0.8762
```

ρ   2.74 g cm⁻³
E_form   -17.38 eV/f.u.
E   -4.72 eV per atom



Entry 3:
The following is a GGA+U calculation of a relaxed structure of LiNiO2, from Materials Project.

Cell and atoms, written as CIF:
```
data_LiNiO2
_chemical_formula_sum 'Li4 Ni4 O8'
_cell_length_a 10.1973
_cell_length_b 10.1973
_cell_length_c 5.2268
_cell_angle_alpha 80.91
_cell_angle_beta 80.91
_cell_angle_gamma 16.02
_symmetry_space_group_name_H-M 'P 1'
_symmetry_Int_Tables_number 1
_symmetry_space_group_name_Hall 'P 1'
loop_
_atom_site_label
_atom_site_fract_x
_atom_site_fract_y
_atom_site_fract_z
Li1 0.6412 0.6412 0.6296
Li2 0.3588 0.3588 0.3704
Li3 0.3898 0.3898 0.8791
Li4 0.6102 0.6102 0.1209
Ni1 0.7476 0.7476 0.2492
Ni2 0.0000 0.0000 0.0000
Ni3 0.5000 0.5000 0.5000
Ni4 0.2524 0.2524 0.7508
O1 0.8047 0.8047 0.5686
O2 0.4485 0.4485 0.1730
O3 0.6989 0.6989 0.9162
O4 0.5515 0.5515 0.8270
O5 0.3011 0.3011 0.0838
O6 0.0533 0.0533 0.2709
O7 0.9467 0.9467 0.7291
O8 0.1953 0.1953 0.4314
```

ρ   4.38 g cm⁻³
E_form   -5.77 eV/f.u.
E   -4.86 eV per atom



Entry 4:
The following is a GGA+U calculation of a relaxed structure of Li7Ni10O20, from Materials Project.

Cell and atoms, written as CIF:
```
data_Li7Ni10O20
_chemical_formula_sum 'Li7 Ni10 O20'
_cell_length_a 4.9740
_cell_length_b 8.5913
_cell_length_c 8.5913
_cell_angle_alpha 68.63
_cell_angle_beta 95.35
_cell_angle_gamma 84.65
_symmetry_space_group_name_H-M 'P 1'
_symmetry_Int_Tables_number 1
_symmetry_space_group_name_Hall 'P 1'
loop_
_atom_site_label
_atom_site_fract_x
_atom_site_fract_y
_atom_site_fract_z
Li1 0.2500 0.0499 0.5499
Li2 0.2500 0.2437 0.7437
Li3 0.2500 0.4563 0.9563
Li4 0.2500 0.6501 0.1501
Li5 0.7500 0.3500 0.8500
Li6 0.7500 0.7507 0.2507
Li7 0.7500 0.9493 0.4493
Ni1 0.0022 0.2021 0.1971
Ni2 0.9944 0.4005 0.4011
Ni3 0.9975 0.6012 0.5988
Ni4 0.9944 0.7989 0.7995
Ni5 0.0022 0.0029 0.9979
Ni6 0.5056 0.2995 0.2989
Ni7 0.4978 0.4979 0.5029
Ni8 0.4978 0.6971 0.7021
Ni9 0.5056 0.9011 0.9005
Ni10 0.5025 0.0988 0.1012
O1 0.1545 0.0095 0.7955
O2 0.1397 0.2021 0.9979
O3 0.1046 0.8109 0.5921
O4 0.1545 0.4045 0.1905
O5 0.1046 0.6079 0.3891
O6 0.3603 0.4979 0.7021
O7 0.3455 0.6905 0.9045
O8 0.3954 0.0921 0.3109
O9 0.3455 0.2955 0.5095
O10 0.3954 0.8891 0.1079
O11 0.6132 0.1224 0.8952
O12 0.6262 0.8973 0.6947
O13 0.6132 0.3048 0.0776
O14 0.6494 0.7029 0.4971
O15 0.6262 0.5053 0.3027
O16 0.8868 0.5776 0.8048
O17 0.8868 0.3952 0.6224
O18 0.8738 0.1947 0.3973
O19 0.8506 0.9971 0.2029
O20 0.8738 0.8027 0.0053
```

ρ   4.71 g cm⁻³
E_form   -48.47 eV/f.u.
E   -4.85 eV per atom



Entry 5:
The following is a GGA+U calculation of a relaxed structure of Li4Ni7O12, from Materials Project.

Cell and atoms, written as CIF:
```
data_Li4Ni7O12
_chemical_formula_sum 'Li12 Ni21 O36'
_cell_length_a 4.9863
_cell_length_b 13.2973
_cell_length_c 9.6807
_cell_angle_alpha 99.39
_cell_angle_beta 94.64
_cell_angle_gamma 79.20
_symmetry_space_group_name_H-M 'P 1'
_symmetry_Int_Tables_number 1
_symmetry_space_group_name_Hall 'P 1'
loop_
_atom_site_label
_atom_site_fract_x
_atom_site_fract_y
_atom_site_fract_z
Li1 0.7824 0.9376 0.0025
Li2 0.8069 0.6417 0.2452
Li3 0.7257 0.5546 0.4940
Li4 0.6045 0.7800 0.4959
Li5 0.4478 0.6130 0.0053
Li6 0.4762 0.3085 0.2424
Li7 0.1415 0.9728 0.2556
Li8 0.4034 0.2156 0.4956
Li9 0.0526 0.8927 0.4940
Li10 0.2751 0.4440 0.4946
Li11 0.2340 0.0514 0.0059
Li12 0.1105 0.2861 0.0034
Ni1 0.9959 0.5038 0.0053
Ni2 0.9723 0.8057 0.7514
Ni3 0.9063 0.4189 0.2512
Ni4 0.6915 0.8605 0.2480
Ni5 0.8303 0.3298 0.4960
Ni6 0.8565 0.0285 0.7499
Ni7 0.7502 0.2500 0.7508
Ni8 0.6667 0.1697 0.0039
Ni9 0.6408 0.4705 0.7505
Ni10 0.5273 0.6955 0.7495
Ni11 0.4139 0.9165 0.7512
Ni12 0.3284 0.8323 0.0028
Ni13 0.5865 0.0835 0.2488
Ni14 0.3622 0.5265 0.2515
Ni15 0.2396 0.7510 0.2499
Ni16 0.4897 0.0014 0.4964
Ni17 0.1568 0.6681 0.4968
Ni18 0.3032 0.1372 0.7511
Ni19 0.1944 0.3631 0.7506
Ni20 0.0783 0.5840 0.7500
Ni21 0.0319 0.1941 0.2493
O1 0.9313 0.7700 0.3625
O2 0.7881 0.9807 0.3571
O3 0.8459 0.6757 0.6375
O4 0.9504 0.4513 0.6175
O5 0.7144 0.9075 0.6358
O6 0.7779 0.5888 0.8616
O7 0.8223 0.2789 0.1322
O8 0.4826 0.9496 0.1330
O9 0.6776 0.5116 0.1434
O10 0.9020 0.3777 0.8689
O11 0.9822 0.1574 0.8585
O12 0.6272 0.8202 0.8572
O13 0.8933 0.0824 0.1377
O14 0.5429 0.7469 0.1430
O15 0.6013 0.4350 0.3641
O16 0.7333 0.2112 0.3659
O17 0.3980 0.8737 0.3677
O18 0.4558 0.6499 0.3598
O19 0.5241 0.3428 0.6375
O20 0.5933 0.1236 0.6334
O21 0.2841 0.7903 0.6228
O22 0.3862 0.5779 0.6385
O23 0.4459 0.2520 0.8613
O24 0.1157 0.9286 0.8696
O25 0.1540 0.6146 0.1357
O26 0.3488 0.1739 0.1400
O27 0.5513 0.0462 0.8826
O28 0.0105 0.8447 0.1425
O29 0.2387 0.7075 0.8656
O30 0.2927 0.4873 0.8554
O31 0.2111 0.4154 0.1437
O32 0.2830 0.1025 0.3591
O33 0.0693 0.5404 0.3694
O34 0.1211 0.3168 0.3622
O35 0.2017 0.0124 0.6420
O36 0.0573 0.2491 0.6427
```

ρ   5.06 g cm⁻³
E_form   -30.59 eV/f.u.
E   -4.87 eV per atom



Entry 6:
The following is a GGA+U calculation of a relaxed structure of LiNiO2, from Materials Project.

Cell and atoms, written as CIF:
```
data_LiNiO2
_chemical_formula_sum 'Li2 Ni2 O4'
_cell_length_a 2.8033
_cell_length_b 2.9432
_cell_length_c 9.6183
_cell_angle_alpha 83.69
_cell_angle_beta 90.04
_cell_angle_gamma 61.57
_symmetry_space_group_name_H-M 'P 1'
_symmetry_Int_Tables_number 1
_symmetry_space_group_name_Hall 'P 1'
loop_
_atom_site_label
_atom_site_fract_x
_atom_site_fract_y
_atom_site_fract_z
Li1 0.7496 0.5002 0.2499
Li2 0.2505 0.4998 0.7501
Ni1 0.5000 0.9999 0.5000
Ni2 0.0000 0.0000 0.0000
O1 0.3863 0.2262 0.1129
O2 0.8865 0.2292 0.6127
O3 0.1135 0.7708 0.3873
O4 0.6136 0.7738 0.8871
```

ρ   4.68 g cm⁻³
E_form   -5.99 eV/f.u.
E   -4.92 eV per atom



Entry 7:
The following is a GGA+U calculation of a relaxed structure of Li5Ni7O12, from Materials Project.

Cell and atoms, written as CIF:
```
data_Li5Ni7O12
_chemical_formula_sum 'Li5 Ni7 O12'
_cell_length_a 5.0365
_cell_length_b 5.0365
_cell_length_c 9.6105
_cell_angle_alpha 84.98
_cell_angle_beta 84.98
_cell_angle_gamma 119.99
_symmetry_space_group_name_H-M 'P 1'
_symmetry_Int_Tables_number 1
_symmetry_space_group_name_Hall 'P 1'
loop_
_atom_site_label
_atom_site_fract_x
_atom_site_fract_y
_atom_site_fract_z
Li1 0.8408 0.6612 0.2514
Li2 0.6618 0.8365 0.7493
Li3 0.3388 0.1592 0.7486
Li4 0.1635 0.3382 0.2507
Li5 0.0844 0.9156 0.5000
Ni1 0.9165 0.0835 0.0000
Ni2 0.0001 0.5034 0.7478
Ni3 0.7455 0.2545 0.5000
Ni4 0.4966 0.9999 0.2522
Ni5 0.5845 0.4155 0.0000
Ni6 0.4179 0.5821 0.5000
Ni7 0.2517 0.7483 0.0000
O1 0.0192 0.2275 0.6180
O2 0.7725 0.9808 0.3820
O3 0.8592 0.3580 0.1293
O4 0.6420 0.1408 0.8707
O5 0.6939 0.5210 0.6131
O6 0.4790 0.3061 0.3869
O7 0.5236 0.7129 0.1157
O8 0.2871 0.4764 0.8843
O9 0.3675 0.8450 0.6208
O10 0.1550 0.6325 0.3792
O11 0.2160 0.0172 0.1200
O12 0.9828 0.7840 0.8800
```

ρ   5.09 g cm⁻³
E_form   -34.47 eV/f.u.
E   -4.91 eV per atom



Entry 8:
The following is a GGA+U calculation of a relaxed structure of Li3Ni4O8, from Materials Project.

Cell and atoms, written as CIF:
```
data_Li3Ni4O8
_chemical_formula_sum 'Li3 Ni4 O8'
_cell_length_a 5.7715
_cell_length_b 5.7715
_cell_length_c 5.6159
_cell_angle_alpha 61.61
_cell_angle_beta 61.61
_cell_angle_gamma 93.44
_symmetry_space_group_name_H-M 'P 1'
_symmetry_Int_Tables_number 1
_symmetry_space_group_name_Hall 'P 1'
loop_
_atom_site_label
_atom_site_fract_x
_atom_site_fract_y
_atom_site_fract_z
Li1 0.5000 0.0000 0.5000
Li2 0.0000 0.5000 0.5000
Li3 0.5000 0.5000 0.5000
Ni1 0.5000 0.0000 0.0000
Ni2 0.0000 0.0000 0.0000
Ni3 0.0000 0.5000 0.0000
Ni4 0.0000 0.0000 0.5000
O1 0.7731 0.2269 0.5000
O2 0.7785 0.7785 0.9694
O3 0.7772 0.2228 0.0000
O4 0.7769 0.7769 0.4654
O5 0.2231 0.2231 0.5346
O6 0.2228 0.7772 0.0000
O7 0.2215 0.2215 0.0306
O8 0.2269 0.7731 0.5000
```

ρ   4.73 g cm⁻³
E_form   -19.71 eV/f.u.
E   -4.83 eV per atom
Polymorph energy (0 for the lowest one)   0.66 eV/f.u.



> E_form of number 2 (Li5NiO4)?

-17.38 eV/f.u.



> Which of these has the highest E_form?

number 3